{"formula": "LiNbP4O12", "functional": "PBE-GGA", "state": "optimized geometry", "delta_e_f_mev_per_atom": -2563, "volume_a3_per_atom": 12.4, "magnetic_moment_mub_per_cell": 4.01, "spacegroup": "C2/c (15)", "lattice_angstrom": [[3.578, 7.951, 0.000], [-3.578, 7.951, 0.000], [0.000, 5.306, 7.869]], "species": ["Li", "Li", "Nb", "Nb", "P", "P", "P", "P", "P", "P", "P", "P", "O", "O", "O", "O", "O", "O", "O", "O", "O", "O", "O", "O", "O", "O", "O", "O", "O", "O", "O", "O", "O", "O", "O", "O"], "frac_coords": [[0.697, 0.303, 0.750], [0.303, 0.697, 0.250], [0.171, 0.829, 0.750], [0.829, 0.171, 0.250], [0.006, 0.703, 0.188], [0.421, 0.311, 0.119], [0.689, 0.579, 0.381], [0.297, 0.994, 0.312], [0.703, 0.006, 0.688], [0.311, 0.421, 0.619], [0.579, 0.689, 0.881], [0.994, 0.297, 0.812], [0.603, 0.178, 0.197], [0.221, 0.478, 0.231], [0.991, 0.751, 0.019], [0.828, 0.665, 0.341], [0.988, 0.148, 0.779], [0.335, 0.172, 0.159], [0.249, 0.009, 0.481], [0.584, 0.549, 0.567], [0.451, 0.416, 0.933], [0.522, 0.779, 0.269], [0.822, 0.397, 0.303], [0.852, 0.012, 0.721], [0.148, 0.988, 0.279], [0.178, 0.603, 0.697], [0.478, 0.221, 0.731], [0.549, 0.584, 0.067], [0.416, 0.451, 0.433], [0.751, 0.991, 0.519], [0.665, 0.828, 0.841], [0.012, 0.852, 0.221], [0.172, 0.335, 0.659], [0.009, 0.249, 0.981], [0.779, 0.522, 0.769], [0.397, 0.822, 0.803]]}

---

{"formula": "PrPb2", "functional": "PBE-GGA", "state": "optimized geometry", "delta_e_f_mev_per_atom": -473, "volume_a3_per_atom": 30.5, "spacegroup": "I4_1/amd (141)", "lattice_angstrom": [[-11.852, -4.829, 9.909], [-15.155, -4.018, 4.020], [14.148, 1.184, -7.772]], "species": ["Pr", "Pr", "Pr", "Pr", "Pb", "Pb", "Pb", "Pb", "Pb", "Pb", "Pb", "Pb"], "frac_coords": [[0.824, 0.324, 0.500], [0.926, 0.926, 0.000], [0.676, 0.176, 0.500], [0.074, 0.074, 0.000], [0.000, 0.500, 0.500], [0.750, 0.750, 0.000], [0.500, 0.000, 0.500], [0.250, 0.250, 0.000], [0.163, 0.663, 0.500], [0.587, 0.587, 0.000], [0.337, 0.837, 0.500], [0.413, 0.413, 0.000]]}

---

{"formula": "BC10XeF17", "functional": "PBE-GGA", "state": "optimized geometry", "delta_e_f_mev_per_atom": -1347, "volume_a3_per_atom": 13.8, "magnetic_moment_mub_per_cell": 0.37, "spacegroup": "P2_1/c (14)", "lattice_angstrom": [[16.104, 0.000, 0.000], [0.000, 6.810, 0.000], [0.000, 2.473, 14.641]], "species": ["B", "B", "B", "B", "C", "C", "C", "C", "C", "C", "C", "C", "C", "C", "C", "C", "C", "C", "C", "C", "C", "C", "C", "C", "C", "C", "C", "C", "C", "C", "C", "C", "C", "C", "C", "C", "C", "C", "C", "C", "C", "C", "C", "C", "Xe", "Xe", "Xe", "Xe", "F", "F", "F", "F", "F", "F", "F", "F", "F", "F", "F", "F", "F", "F", "F", "F", "F", "F", "F", "F", "F", "F", "F", "F", "F", "F", "F", "F", "F", "F", "F", "F", "F", "F", "F", "F", "F", "F", "F", "F", "F", "F", "F", "F", "F", "F", "F", "F", "F", "F", "F", "F", "F", "F", "F", "F", "F", "F", "F", "F", "F", "F", "F", "F", "F", "F", "F", "F"], "frac_coords": [[0.298, 0.799, 0.602], [0.702, 0.201, 0.398], [0.798, 0.201, 0.898], [0.202, 0.799, 0.102], [0.032, 0.605, 0.754], [0.968, 0.395, 0.246], [0.532, 0.395, 0.746], [0.468, 0.605, 0.254], [0.973, 0.671, 0.688], [0.027, 0.329, 0.312], [0.473, 0.329, 0.812], [0.527, 0.671, 0.188], [0.489, 0.631, 0.877], [0.511, 0.369, 0.123], [0.989, 0.369, 0.623], [0.011, 0.631, 0.377], [0.226, 0.902, 0.530], [0.774, 0.098, 0.470], [0.726, 0.098, 0.970], [0.274, 0.902, 0.030], [0.282, 0.856, 0.704], [0.718, 0.144, 0.296], [0.782, 0.144, 0.796], [0.218, 0.856, 0.204], [0.451, 0.447, 0.877], [0.549, 0.553, 0.123], [0.951, 0.553, 0.623], [0.049, 0.447, 0.377], [0.049, 0.301, 0.689], [0.951, 0.699, 0.311], [0.549, 0.699, 0.811], [0.451, 0.301, 0.189], [0.293, 0.555, 0.609], [0.707, 0.445, 0.391], [0.793, 0.445, 0.891], [0.207, 0.555, 0.109], [0.390, 0.877, 0.564], [0.610, 0.123, 0.436], [0.890, 0.123, 0.936], [0.110, 0.877, 0.064], [0.070, 0.422, 0.752], [0.930, 0.578, 0.248], [0.570, 0.578, 0.748], [0.430, 0.422, 0.252], [0.158, 0.310, 0.854], [0.842, 0.690, 0.146], [0.658, 0.690, 0.646], [0.342, 0.310, 0.354], [0.891, 0.614, 0.562], [0.109, 0.386, 0.438], [0.391, 0.386, 0.938], [0.609, 0.614, 0.062], [0.215, 0.756, 0.750], [0.785, 0.244, 0.250], [0.715, 0.244, 0.750], [0.285, 0.756, 0.250], [0.329, 0.486, 0.536], [0.671, 0.514, 0.464], [0.829, 0.514, 0.964], [0.171, 0.486, 0.036], [0.213, 0.481, 0.614], [0.787, 0.519, 0.386], [0.713, 0.519, 0.886], [0.287, 0.481, 0.114], [0.050, 0.713, 0.819], [0.950, 0.287, 0.181], [0.550, 0.287, 0.681], [0.450, 0.713, 0.319], [0.455, 0.761, 0.605], [0.545, 0.239, 0.395], [0.955, 0.239, 0.895], [0.045, 0.761, 0.105], [0.908, 0.932, 0.923], [0.092, 0.068, 0.077], [0.408, 0.068, 0.577], [0.592, 0.932, 0.423], [0.738, 0.892, 0.998], [0.262, 0.108, 0.002], [0.238, 0.108, 0.502], [0.762, 0.892, 0.498], [0.349, 0.809, 0.762], [0.651, 0.191, 0.238], [0.849, 0.191, 0.738], [0.151, 0.809, 0.262], [0.147, 0.886, 0.564], [0.853, 0.114, 0.436], [0.647, 0.114, 0.936], [0.353, 0.886, 0.064], [0.099, 0.878, 0.972], [0.901, 0.122, 0.028], [0.599, 0.122, 0.528], [0.401, 0.878, 0.472], [0.468, 0.743, 0.939], [0.532, 0.257, 0.061], [0.968, 0.257, 0.561], [0.032, 0.743, 0.439], [0.333, 0.452, 0.685], [0.667, 0.548, 0.315], [0.833, 0.548, 0.815], [0.167, 0.452, 0.185], [0.277, 0.826, 0.950], [0.723, 0.174, 0.050], [0.777, 0.174, 0.550], [0.223, 0.826, 0.450], [0.585, 0.876, 0.810], [0.415, 0.124, 0.190], [0.085, 0.124, 0.690], [0.915, 0.876, 0.310], [0.767, 0.946, 0.796], [0.233, 0.054, 0.204], [0.267, 0.054, 0.704], [0.733, 0.946, 0.296], [0.934, 0.846, 0.688], [0.066, 0.154, 0.312], [0.434, 0.154, 0.812], [0.566, 0.846, 0.188]]}

---

{"formula": "K2PdS8O26", "functional": "PBE-GGA", "state": "optimized geometry", "delta_e_f_mev_per_atom": -1732, "volume_a3_per_atom": 15.5, "magnetic_moment_mub_per_cell": 0.00, "spacegroup": "P-1 (2)", "lattice_angstrom": [[-7.585, 0.000, 0.000], [2.755, 8.512, 0.000], [-0.146, -2.796, -8.874]], "species": ["K", "K", "Pd", "S", "S", "S", "S", "S", "S", "S", "S", "O", "O", "O", "O", "O", "O", "O", "O", "O", "O", "O", "O", "O", "O", "O", "O", "O", "O", "O", "O", "O", "O", "O", "O", "O", "O"], "frac_coords": [[0.129, 0.267, 0.880], [0.871, 0.733, 0.120], [0.500, 0.500, 0.500], [0.667, 0.359, 0.717], [0.333, 0.641, 0.283], [0.867, 0.189, 0.487], [0.133, 0.811, 0.513], [0.375, 0.154, 0.226], [0.625, 0.846, 0.774], [0.781, 0.235, 0.199], [0.219, 0.765, 0.801], [0.689, 0.186, 0.579], [0.311, 0.814, 0.421], [0.700, 0.483, 0.632], [0.300, 0.517, 0.368], [0.817, 0.406, 0.831], [0.183, 0.594, 0.169], [0.844, 0.302, 0.381], [0.156, 0.698, 0.619], [0.034, 0.287, 0.580], [0.966, 0.713, 0.420], [0.479, 0.294, 0.751], [0.521, 0.706, 0.249], [0.837, 0.024, 0.395], [0.163, 0.976, 0.605], [0.413, 0.250, 0.389], [0.587, 0.750, 0.611], [0.586, 0.103, 0.186], [0.414, 0.897, 0.814], [0.770, 0.380, 0.170], [0.230, 0.620, 0.830], [0.905, 0.150, 0.125], [0.095, 0.850, 0.875], [0.361, 0.242, 0.122], [0.639, 0.758, 0.878], [0.252, 0.990, 0.204], [0.748, 0.010, 0.796]]}

---

{"formula": "CeAgAs2", "functional": "PBE-GGA", "state": "optimized geometry", "delta_e_f_mev_per_atom": -783, "volume_a3_per_atom": 21.4, "magnetic_moment_mub_per_cell": 4.41, "spacegroup": "Pbcm (57)", "lattice_angstrom": [[5.772, 0.000, 0.000], [0.000, 5.790, 0.000], [0.000, 0.000, 20.530]], "species": ["Ce", "Ce", "Ce", "Ce", "Ce", "Ce", "Ce", "Ce", "Ag", "Ag", "Ag", "Ag", "Ag", "Ag", "Ag", "Ag", "As", "As", "As", "As", "As", "As", "As", "As", "As", "As", "As", "As", "As", "As", "As", "As"], "frac_coords": [[0.750, 0.488, 0.886], [0.750, 0.512, 0.386], [0.750, 0.989, 0.610], [0.750, 0.011, 0.110], [0.250, 0.989, 0.890], [0.250, 0.512, 0.114], [0.250, 0.011, 0.390], [0.250, 0.488, 0.614], [0.500, 0.737, 0.750], [0.000, 0.263, 0.250], [0.500, 0.235, 0.750], [0.500, 0.263, 0.250], [0.000, 0.737, 0.750], [0.000, 0.765, 0.250], [0.000, 0.235, 0.750], [0.500, 0.765, 0.250], [0.250, 0.987, 0.658], [0.750, 0.013, 0.342], [0.750, 0.512, 0.158], [0.991, 0.731, 0.000], [0.009, 0.731, 0.500], [0.250, 0.512, 0.342], [0.991, 0.269, 0.500], [0.509, 0.731, 0.000], [0.509, 0.269, 0.500], [0.491, 0.731, 0.500], [0.009, 0.269, 0.000], [0.250, 0.013, 0.158], [0.250, 0.488, 0.842], [0.750, 0.488, 0.658], [0.750, 0.987, 0.842], [0.491, 0.269, 0.000]]}

---

{"formula": "KBS4Cl4O12", "functional": "PBE-GGA", "state": "optimized geometry", "delta_e_f_mev_per_atom": -1631, "volume_a3_per_atom": 20.1, "magnetic_moment_mub_per_cell": 0.00, "spacegroup": "Cc (9)", "lattice_angstrom": [[-4.196, 5.183, -9.005], [-3.516, -7.861, 7.170], [-7.170, 6.096, 5.217]], "species": ["K", "K", "B", "B", "S", "S", "S", "S", "S", "S", "S", "S", "Cl", "Cl", "Cl", "Cl", "Cl", "Cl", "Cl", "Cl", "O", "O", "O", "O", "O", "O", "O", "O", "O", "O", "O", "O", "O", "O", "O", "O", "O", "O", "O", "O", "O", "O", "O", "O"], "frac_coords": [[0.348, 0.514, 0.404], [0.514, 0.348, 0.904], [0.122, 0.880, 0.501], [0.880, 0.122, 0.001], [0.614, 0.061, 0.940], [0.197, 0.379, 0.799], [0.061, 0.614, 0.440], [0.250, 0.952, 0.712], [0.741, 0.790, 0.051], [0.952, 0.250, 0.212], [0.379, 0.197, 0.299], [0.790, 0.741, 0.551], [0.697, 0.047, 0.343], [0.343, 0.641, 0.767], [0.641, 0.343, 0.267], [0.835, 0.931, 0.614], [0.356, 0.842, 0.060], [0.842, 0.356, 0.560], [0.931, 0.835, 0.114], [0.047, 0.697, 0.843], [0.731, 0.609, 0.665], [0.286, 0.011, 0.384], [0.678, 0.686, 0.468], [0.982, 0.853, 0.463], [0.273, 0.347, 0.875], [0.071, 0.714, 0.535], [0.347, 0.185, 0.174], [0.973, 0.386, 0.145], [0.945, 0.151, 0.118], [0.213, 0.648, 0.424], [0.648, 0.213, 0.924], [0.638, 0.016, 0.828], [0.853, 0.982, 0.963], [0.714, 0.071, 0.035], [0.294, 0.072, 0.784], [0.151, 0.945, 0.618], [0.185, 0.347, 0.674], [0.609, 0.731, 0.165], [0.686, 0.678, 0.968], [0.011, 0.286, 0.884], [0.347, 0.273, 0.375], [0.072, 0.294, 0.284], [0.386, 0.973, 0.645], [0.016, 0.638, 0.328]]}

---

What is the formula in the fifth record? CeAgAs2